Entry 1:
The following is a PBE with a Hubbard U calculation of a relaxed NiTeO4 crystal, from the Materials Project.

a = 5.3653 Å, b = 6.1918 Å, c = 10.2915 Å
α = 72.50°, β = 79.56°, γ = 89.99°
Last column: nearest neighbours and their distance in Å.
Element x y z (fractional)
O 0.0930 0.6724 0.6551  1 Te 1.90, 2 Ni 2.07
O 0.3543 0.0690 0.3621  2 Te 2.04, 1 Ni 2.20
O 0.4070 0.0777 0.8448  1 Te 1.90, 2 Ni 2.07
O 0.8544 0.3189 0.8621  2 Te 2.04, 1 Ni 2.20
O 0.5930 0.4223 0.1552  1 Te 1.90, 2 Ni 2.07
O 0.1456 0.1811 0.1379  2 Te 2.04, 1 Ni 2.20
O 0.8544 0.8189 0.8621  2 Te 2.04, 1 Ni 2.20
O 0.3544 0.5690 0.3621  2 Te 2.04, 1 Ni 2.20
O 0.1456 0.6811 0.1379  2 Te 2.04, 1 Ni 2.20
O 0.6457 0.4310 0.6379  2 Te 2.04, 1 Ni 2.20
O 0.9070 0.3277 0.3449  1 Te 1.90, 2 Ni 2.07
O 0.4070 0.5776 0.8448  1 Te 1.90, 2 Ni 2.06-2.07
O 0.0930 0.1723 0.6551  1 Te 1.90, 2 Ni 2.07
O 0.6456 0.9310 0.6379  2 Te 2.04, 1 Ni 2.20
O 0.5930 0.9224 0.1552  1 Te 1.90, 2 Ni 2.06-2.07
O 0.9070 0.8276 0.3449  1 Te 1.90, 2 Ni 2.07
Ni 0.2500 0.3749 0.7498  6 O 2.07-2.20
Ni 0.2504 0.8749 0.7499  6 O 2.06-2.20
Ni 0.7499 0.1251 0.2502  6 O 2.07-2.20
Ni 0.7496 0.6252 0.2501  6 O 2.06-2.20
Te 0.7501 0.6250 0.7500  6 O 1.90-2.04
Te 0.2499 0.3750 0.2500  6 O 1.90-2.04
Te 0.2499 0.8750 0.2500  6 O 1.90-2.04
Te 0.7501 0.1250 0.7500  6 O 1.90-2.04

## Properties
**Polymorph energy (0 for the lowest one)**: 0.0991 eV per atom

=====

Entry 2:
The following is a PBE with a Hubbard U calculation of a relaxed Ba2V3BiO11 crystal, from the Materials Project.

a = 5.8776 Å, b = 7.8674 Å, c = 25.1345 Å
α = 90.00°, β = 102.59°, γ = 90.00°
Last column: nearest neighbours and their distance in Å.
Element x y z (fractional)
Ba 0.1235 0.2482 0.3694  6 O 2.70-2.93
Ba 0.1235 0.2518 0.8694  6 O 2.70-2.93
Ba 0.2237 0.7415 0.9726  9 O 2.84-3.02
Ba 0.2237 0.7585 0.4726  9 O 2.84-3.02
Ba 0.7763 0.2415 0.5274  9 O 2.84-3.02
Ba 0.7763 0.2585 0.0274  9 O 2.84-3.02
Ba 0.8765 0.7482 0.1306  6 O 2.70-2.93
Ba 0.8765 0.7518 0.6306  6 O 2.70-2.93
V 0.0501 0.7445 0.7989  4 O 1.69-1.81
V 0.0501 0.7555 0.2989  4 O 1.69-1.81
V 0.3376 0.0174 0.5923  4 O 1.71-1.83
V 0.3376 0.4826 0.0923  4 O 1.71-1.83
V 0.3433 0.0213 0.0907  4 O 1.70-1.82
V 0.3433 0.4787 0.5907  4 O 1.70-1.82
V 0.6567 0.5213 0.4093  4 O 1.70-1.82
V 0.6567 0.9787 0.9093  4 O 1.70-1.82
V 0.6624 0.5174 0.9077  4 O 1.71-1.83
V 0.6624 0.9826 0.4077  4 O 1.71-1.83
V 0.9499 0.2445 0.7011  4 O 1.69-1.81
V 0.9499 0.2555 0.2011  4 O 1.69-1.81
Bi 0.4926 0.5025 0.2525  4 O 2.24-2.34
Bi 0.4926 0.9975 0.7525  4 O 2.24-2.34
Bi 0.5074 0.0025 0.2475  4 O 2.24-2.34
Bi 0.5074 0.4975 0.7475  4 O 2.24-2.34
O 0.0672 0.5476 0.3154  1 V 1.69
O 0.0672 0.9524 0.8154  1 V 1.69
O 0.0729 0.5524 0.5600  1 V 1.71
O 0.0729 0.9476 0.0600  1 V 1.71
O 0.0773 0.5603 0.0569  1 V 1.71
O 0.0773 0.9397 0.5569  1 V 1.71
O 0.1008 0.6221 0.8560  1 V 1.70
O 0.1008 0.8779 0.3560  1 V 1.70
O 0.2386 0.2133 0.7431  1 V 1.81
O 0.2386 0.2867 0.2431  1 V 1.81
O 0.2641 0.7082 0.7585  1 V 1.80
O 0.2641 0.7918 0.2585  1 V 1.80
O 0.3388 0.2479 0.5840  2 V 1.82-1.83
O 0.3388 0.2521 0.0840  2 V 1.82-1.83
O 0.3903 0.5578 0.1589  1 V 1.74
O 0.3903 0.9422 0.6589  1 V 1.74
O 0.4187 0.5582 0.6564  1 V 1.73
O 0.4187 0.9418 0.1564  1 V 1.73
O 0.4578 0.0545 0.9435  1 V 1.70
O 0.4578 0.4455 0.4435  1 V 1.70
O 0.4595 0.0616 0.4405  1 V 1.71
O 0.4595 0.4384 0.9405  1 V 1.71
O 0.5405 0.5616 0.0595  1 V 1.71
O 0.5405 0.9384 0.5595  1 V 1.71
O 0.5422 0.5545 0.5565  1 V 1.70
O 0.5422 0.9455 0.0565  1 V 1.70
O 0.5813 0.0582 0.8436  1 V 1.73
O 0.5813 0.4418 0.3436  1 V 1.73
O 0.6097 0.0578 0.3411  1 V 1.74
O 0.6097 0.4422 0.8411  1 V 1.74
O 0.6612 0.7479 0.9160  2 V 1.82-1.83
O 0.6612 0.7521 0.4160  2 V 1.82-1.83
O 0.7359 0.2082 0.7415  1 V 1.80
O 0.7359 0.2918 0.2415  1 V 1.80
O 0.7614 0.7133 0.7569  1 V 1.81
O 0.7614 0.7867 0.2569  1 V 1.81
O 0.8992 0.1221 0.6440  1 V 1.70
O 0.8992 0.3779 0.1440  1 V 1.70
O 0.9227 0.0603 0.4431  1 V 1.71
O 0.9227 0.4397 0.9431  1 V 1.71
O 0.9271 0.0524 0.9400  1 V 1.71
O 0.9271 0.4476 0.4400  1 V 1.71
O 0.9328 0.0476 0.1846  1 V 1.69
O 0.9328 0.4524 0.6846  1 V 1.69

## Properties
**Polymorph energy (0 for the lowest one)**: 0.0213 eV per atom
**Crystal system**: monoclinic
**Space-group type**: No. 14

=====

Entry 3:
The following is a PBE with a Hubbard U calculation of a relaxed BaNi4O8 crystal, from the Materials Project.

a = 13.2235 Å, b = 13.2235 Å, c = 13.2235 Å
α = 25.05°, β = 25.05°, γ = 25.05°
Last column: nearest neighbours and their distance in Å.
Element x y z (fractional)
Ba 0.2499 0.2499 0.2499  6 O 2.69-2.70
Ba 0.7501 0.7501 0.7501  6 O 2.69-2.70
Ni 0.0000 0.0000 0.0000  6 O 2.02
Ni 0.0000 0.0000 0.5000  6 O 1.89-1.92
Ni 0.0000 0.5000 0.0000  6 O 1.89-1.92
Ni 0.0000 0.5000 0.5000  6 O 1.89-1.92
Ni 0.5000 0.0000 0.0000  6 O 1.89-1.92
Ni 0.5000 0.0000 0.5000  6 O 1.89-1.92
Ni 0.5000 0.5000 0.0000  6 O 1.89-1.92
Ni 0.5000 0.5000 0.5000  6 O 2.02
O 0.1202 0.6510 0.6510  3 Ni 1.89-2.02
O 0.1415 0.1415 0.1415  3 Ni 1.92
O 0.1510 0.1510 0.6203  3 Ni 1.89-2.02
O 0.1510 0.6203 0.1510  3 Ni 1.89-2.02
O 0.3490 0.3490 0.8798  3 Ni 1.89-2.02
O 0.3490 0.8798 0.3490  3 Ni 1.89-2.02
O 0.3585 0.3585 0.3585  3 Ni 1.92
O 0.3797 0.8490 0.8490  3 Ni 1.89-2.02
O 0.6203 0.1510 0.1510  3 Ni 1.89-2.02
O 0.6415 0.6415 0.6415  3 Ni 1.92
O 0.6510 0.1202 0.6510  3 Ni 1.89-2.02
O 0.6510 0.6510 0.1202  3 Ni 1.89-2.02
O 0.8490 0.3797 0.8490  3 Ni 1.89-2.02
O 0.8490 0.8490 0.3797  3 Ni 1.89-2.02
O 0.8585 0.8585 0.8585  3 Ni 1.92
O 0.8798 0.3490 0.3490  3 Ni 1.89-2.02

## Properties
**Polymorph energy (0 for the lowest one)**: 0.0000 eV per atom
**Crystal system**: trigonal
**Space-group type**: No. 166

=====

Entry 4:
The following is a PBE with a Hubbard U calculation of a relaxed KNa7V8O24 crystal, from the Materials Project.

a = 7.5569 Å, b = 7.5569 Å, c = 7.5569 Å
α = 90.00°, β = 90.00°, γ = 90.00°
Last column: nearest neighbours and their distance in Å.
Element x y z (fractional)
K 0.0000 0.0000 0.0000  12 O 2.69
Na 0.0000 0.0000 0.5000  12 O 2.67
Na 0.0000 0.5000 0.0000  12 O 2.67
Na 0.0000 0.5000 0.5000  12 O 2.65-2.67
Na 0.5000 0.0000 0.0000  12 O 2.67
Na 0.5000 0.0000 0.5000  12 O 2.65-2.67
Na 0.5000 0.5000 0.0000  12 O 2.65-2.67
Na 0.5000 0.5000 0.5000  12 O 2.67
V 0.2505 0.2505 0.2505  6 O 1.89
V 0.2505 0.2505 0.7495  6 O 1.89
V 0.2505 0.7495 0.2505  6 O 1.89
V 0.2505 0.7495 0.7495  6 O 1.89
V 0.7495 0.2505 0.2505  6 O 1.89
V 0.7495 0.2505 0.7495  6 O 1.89
V 0.7495 0.7495 0.2505  6 O 1.89
V 0.7495 0.7495 0.7495  6 O 1.89
O 0.0000 0.2517 0.2517  2 V 1.89
O 0.0000 0.2517 0.7483  2 V 1.89
O 0.0000 0.7483 0.2517  2 V 1.89
O 0.0000 0.7483 0.7483  2 V 1.89
O 0.2502 0.2502 0.5000  2 V 1.89
O 0.2502 0.5000 0.2502  2 V 1.89
O 0.2502 0.5000 0.7498  2 V 1.89
O 0.2502 0.7498 0.5000  2 V 1.89
O 0.2517 0.0000 0.2517  2 V 1.89
O 0.2517 0.0000 0.7483  2 V 1.89
O 0.2517 0.2517 0.0000  2 V 1.89
O 0.2517 0.7483 0.0000  2 V 1.89
O 0.5000 0.2502 0.2502  2 V 1.89
O 0.5000 0.2502 0.7498  2 V 1.89
O 0.5000 0.7498 0.2502  2 V 1.89
O 0.5000 0.7498 0.7498  2 V 1.89
O 0.7483 0.0000 0.2517  2 V 1.89
O 0.7483 0.0000 0.7483  2 V 1.89
O 0.7483 0.2517 0.0000  2 V 1.89
O 0.7483 0.7483 0.0000  2 V 1.89
O 0.7498 0.2502 0.5000  2 V 1.89
O 0.7498 0.5000 0.2502  2 V 1.89
O 0.7498 0.5000 0.7498  2 V 1.89
O 0.7498 0.7498 0.5000  2 V 1.89

## Properties
**Polymorph energy (0 for the lowest one)**: 0.1499 eV per atom
**Crystal system**: cubic
**Space-group type**: No. 221

=====

Entry 5:
The following is a PBE with a Hubbard U calculation of a relaxed AlV2O4 crystal, from the Materials Project.

a = 5.9606 Å, b = 5.9648 Å, c = 10.2301 Å
α = 73.82°, β = 89.81°, γ = 60.09°
Last column: nearest neighbours and their distance in Å.
Element x y z (fractional)
Al 0.0000 0.0000 0.0000  4 O 1.81-1.82
Al 0.1047 0.7572 0.3723  4 O 1.81-1.82
Al 0.4847 0.9992 0.5007  4 O 1.80-1.83
Al 0.6172 0.7584 0.8710  4 O 1.80-1.83
V 0.0493 0.3801 0.1865  6 O 2.12-2.15
V 0.0524 0.3800 0.6866  6 O 2.12-2.14
V 0.0523 0.8759 0.6866  6 O 2.07-2.12
V 0.3157 0.3771 0.9370  6 O 2.12-2.15
V 0.5507 0.3779 0.1854  6 O 2.05-2.12
V 0.5535 0.3778 0.6855  6 O 2.08-2.13
V 0.5533 0.8764 0.1861  6 O 2.06-2.13
V 0.7886 0.3783 0.4377  6 O 2.11-2.14
O 0.1717 0.1222 0.5604  1 Al 1.81
O 0.1770 0.6338 0.5590  1 Al 1.81
O 0.1864 0.6308 0.0653  1 Al 1.81
O 0.1906 0.1201 0.0621  1 Al 1.81
O 0.4144 0.6322 0.3066  1 Al 1.82
O 0.4312 0.1233 0.3124  1 Al 1.83
O 0.4323 0.6340 0.8073  1 Al 1.81
O 0.4356 0.1259 0.8091  1 Al 1.80
O 0.6694 0.6316 0.5634  1 Al 1.80
O 0.6697 0.6330 0.0592  1 Al 1.83
O 0.6726 0.1204 0.5649  1 Al 1.81
O 0.6912 0.1215 0.0663  1 Al 1.82
O 0.9128 0.6357 0.3128  1 Al 1.81
O 0.9148 0.1270 0.3082  1 Al 1.81
O 0.9298 0.1221 0.8130  1 Al 1.81
O 0.9322 0.6338 0.8139  1 Al 1.81

## Properties
**Polymorph energy (0 for the lowest one)**: 0.0381 eV per atom
**Crystal system**: triclinic
**Space-group type**: No. 1

=====

Asked for energy across the records above, the calculation gives -5.22 -7.15 -5.00 -6.52 -7.81 eV per atom in order.
Asked for energy of formation from the pure elements across the records above, the calculation gives -1.31 -2.63 -1.24 -2.23 -2.73 eV/atom in order.
Asked for calculated volume across the records above, the calculation gives 320 1134 365 432 299 Å³ per cell in order.